Crystalline TbNi4Au at its relaxed geometry. Source: Materials Project, functional r2SCAN.

POSCAR file:
```
TbNi4Au
1.0
1.962 -3.519 -2.764
-1.411 -4.641 0.589
-2.691 -2.190 -3.440
Tb Ni Au
1 4 1
Direct
0.000 0.000 0.000 Tb
0.624 0.624 0.128 Ni
0.624 0.128 0.624 Ni
0.128 0.624 0.624 Ni
0.624 0.624 0.624 Ni
0.250 0.250 0.250 Au
```

Results
The calculation puts the density at 11.9 g/cm³. Its formation enthalpy at 0 K is -0.36 eV/atom. For the spin magnetization, the calculation gives 0.04 μB per atom.